Entry 1:
First-principles (GGA-PBE) data for a relaxed Pr2Mg crystal, as listed in the Materials Project database.

Space-group type: I4/mmm (139)
Distance to the lowest polymorph of the same formula, meV/atom: 11

Cell: 6.971 6.971 6.971 Å, 147.53 147.53 46.58°
Positions (direct):
Pr 0.152 0.152 0.000
Pr 0.848 0.848 0.000
Mg 0.500 0.500 0.000

Entry 2:
First-principles (GGA-PBE) data for a relaxed Pr2Mg crystal, as listed in the Materials Project database.

Space-group type: Cmcm (63)
Distance to the lowest polymorph of the same formula, meV/atom: 0

Cell: 9.061 9.061 5.694 Å, 90.00 90.00 155.35°
Positions (direct):
Pr 0.087 0.913 0.750
Pr 0.229 0.771 0.250
Pr 0.771 0.229 0.750
Pr 0.913 0.087 0.250
Mg 0.431 0.569 0.750
Mg 0.569 0.431 0.250

Entry 3:
First-principles (GGA-PBE) data for a relaxed Pr23Mg4Rh7 crystal, as listed in the Materials Project database.

Space-group type: P6_3mc (186)

Cell: 10.116 10.116 22.841 Å, 90.00 90.00 120.00°
Positions (direct):
Pr 0.000 0.000 0.052
Pr 0.000 0.000 0.552
Pr 0.080 0.540 0.137
Pr 0.083 0.542 0.408
Pr 0.129 0.257 0.687
Pr 0.129 0.871 0.687
Pr 0.206 0.411 0.833
Pr 0.206 0.794 0.833
Pr 0.208 0.416 0.000
Pr 0.208 0.416 0.271
Pr 0.208 0.792 0.000
Pr 0.208 0.792 0.271
Pr 0.210 0.420 0.543
Pr 0.210 0.790 0.543
Pr 0.257 0.129 0.187
Pr 0.333 0.667 0.697
Pr 0.411 0.206 0.333
Pr 0.416 0.208 0.500
Pr 0.416 0.208 0.771
Pr 0.420 0.210 0.043
Pr 0.458 0.542 0.408
Pr 0.458 0.917 0.408
Pr 0.460 0.540 0.137
Pr 0.460 0.920 0.137
Pr 0.540 0.080 0.637
Pr 0.540 0.460 0.637
Pr 0.542 0.083 0.908
Pr 0.542 0.458 0.908
Pr 0.580 0.790 0.543
Pr 0.584 0.792 0.000
Pr 0.584 0.792 0.271
Pr 0.589 0.794 0.833
Pr 0.667 0.333 0.197
Pr 0.743 0.871 0.687
Pr 0.790 0.210 0.043
Pr 0.790 0.580 0.043
Pr 0.792 0.208 0.500
Pr 0.792 0.208 0.771
Pr 0.792 0.584 0.500
Pr 0.792 0.584 0.771
Pr 0.794 0.206 0.333
Pr 0.794 0.589 0.333
Pr 0.871 0.129 0.187
Pr 0.871 0.743 0.187
Pr 0.917 0.458 0.908
Pr 0.920 0.460 0.637
Mg 0.000 0.000 0.302
Mg 0.000 0.000 0.802
Mg 0.106 0.211 0.414
Mg 0.106 0.894 0.414
Mg 0.211 0.106 0.914
Mg 0.789 0.894 0.414
Mg 0.894 0.106 0.914
Mg 0.894 0.789 0.914
Rh 0.042 0.521 0.761
Rh 0.144 0.287 0.116
Rh 0.144 0.856 0.116
Rh 0.287 0.144 0.616
Rh 0.333 0.667 0.916
Rh 0.479 0.521 0.761
Rh 0.479 0.958 0.761
Rh 0.521 0.042 0.261
Rh 0.521 0.479 0.261
Rh 0.667 0.333 0.416
Rh 0.713 0.856 0.116
Rh 0.856 0.144 0.616
Rh 0.856 0.713 0.616
Rh 0.958 0.479 0.261

Entry 4:
First-principles (GGA-PBE) data for a relaxed Pr4MgRu crystal, as listed in the Materials Project database.

Space-group type: F-43m (216)

Cell: 10.091 10.091 10.091 Å, 60.00 60.00 60.00°
Positions (direct):
Pr 0.188 0.188 0.812
Pr 0.188 0.812 0.188
Pr 0.188 0.812 0.812
Pr 0.345 0.345 0.345
Pr 0.345 0.345 0.966
Pr 0.345 0.966 0.345
Pr 0.561 0.561 0.939
Pr 0.561 0.939 0.561
Pr 0.561 0.939 0.939
Pr 0.812 0.188 0.188
Pr 0.812 0.188 0.812
Pr 0.812 0.812 0.188
Pr 0.939 0.561 0.561
Pr 0.939 0.561 0.939
Pr 0.939 0.939 0.561
Pr 0.966 0.345 0.345
Mg 0.265 0.578 0.578
Mg 0.578 0.265 0.578
Mg 0.578 0.578 0.265
Mg 0.578 0.578 0.578
Ru 0.138 0.138 0.138
Ru 0.138 0.138 0.586
Ru 0.138 0.586 0.138
Ru 0.586 0.138 0.138

Entry 5:
First-principles (GGA-PBE) data for a relaxed Pr2MgS4 crystal, as listed in the Materials Project database.

Space-group type: P-1 (2)
Distance to the lowest polymorph of the same formula, meV/atom: 169

Cell: 7.671 8.942 12.004 Å, 100.42 96.60 91.00°
Positions (direct):
Pr 0.132 0.447 0.335
Pr 0.139 0.971 0.344
Pr 0.253 0.131 0.998
Pr 0.363 0.295 0.659
Pr 0.637 0.705 0.341
Pr 0.747 0.869 0.002
Pr 0.861 0.029 0.656
Pr 0.868 0.553 0.665
Mg 0.250 0.613 0.994
Mg 0.361 0.793 0.685
Mg 0.639 0.207 0.315
Mg 0.750 0.387 0.006
S 0.095 0.412 0.105
S 0.107 0.907 0.114
S 0.200 0.547 0.602
S 0.203 0.006 0.610
S 0.301 0.719 0.380
S 0.351 0.228 0.393
S 0.384 0.833 0.890
S 0.403 0.361 0.890
S 0.597 0.639 0.110
S 0.616 0.167 0.110
S 0.649 0.772 0.607
S 0.699 0.281 0.620
S 0.797 0.994 0.390
S 0.800 0.453 0.398
S 0.893 0.093 0.886
S 0.905 0.588 0.895

Entry 6:
First-principles (GGA-PBE) data for a relaxed PrMgS3 crystal, as listed in the Materials Project database.

Space-group type: C2/m (12)
Distance to the lowest polymorph of the same formula, meV/atom: 112

Cell: 6.974 6.974 6.571 Å, 103.11 103.11 114.64°
Positions (direct):
Pr 0.196 0.196 0.326
Pr 0.804 0.804 0.674
Mg 0.333 0.667 0.000
Mg 0.667 0.333 0.000
S 0.099 0.756 0.211
S 0.244 0.901 0.789
S 0.477 0.477 0.752
S 0.523 0.523 0.248
S 0.756 0.099 0.211
S 0.901 0.244 0.789

Entry 7:
First-principles (GGA-PBE) data for a relaxed PrMgS3 crystal, as listed in the Materials Project database.

Distance to the lowest polymorph of the same formula, meV/atom: 60

Cell: 8.158 11.449 7.784 Å, 90.00 128.63 90.00°
Positions (direct):
S 0.706 0.000 0.281
S 0.280 0.655 0.861
S 0.720 0.345 0.139
Pr 0.537 0.500 0.255
Mg 0.500 0.159 0.000
S 0.294 0.000 0.719
S 0.206 0.500 0.281
S 0.220 0.155 0.139
Pr 0.963 0.000 0.745
S 0.220 0.845 0.139
S 0.780 0.845 0.861
Mg 0.500 0.841 0.000
S 0.720 0.655 0.139
Pr 0.037 0.000 0.255
S 0.280 0.345 0.861
S 0.794 0.500 0.719
Mg 0.000 0.341 0.000
Pr 0.463 0.500 0.745
Mg 0.000 0.659 0.000
S 0.780 0.155 0.861

Entry 8:
First-principles (GGA-PBE) data for a relaxed Pr2MgS4 crystal, as listed in the Materials Project database.

Space-group type: Pca2_1 (29)
Distance to the lowest polymorph of the same formula, meV/atom: 0

Cell: 13.138 7.882 13.053 Å, 90.00 90.00 90.00°
Positions (direct):
Pr 0.110 0.114 0.000
Pr 0.127 0.616 0.643
Pr 0.135 0.370 0.311
Pr 0.136 0.870 0.310
Pr 0.364 0.870 0.810
Pr 0.365 0.370 0.811
Pr 0.373 0.616 0.143
Pr 0.390 0.114 0.500
Pr 0.610 0.886 0.000
Pr 0.627 0.384 0.643
Pr 0.635 0.630 0.311
Pr 0.636 0.130 0.310
Pr 0.864 0.130 0.810
Pr 0.865 0.630 0.811
Pr 0.873 0.384 0.143
Pr 0.890 0.886 0.500
Mg 0.111 0.614 0.010
Mg 0.126 0.120 0.636
Mg 0.374 0.120 0.136
Mg 0.389 0.614 0.510
Mg 0.611 0.386 0.010
Mg 0.626 0.880 0.636
Mg 0.874 0.880 0.136
Mg 0.889 0.386 0.510
S 0.010 0.117 0.196
S 0.026 0.629 0.183
S 0.028 0.617 0.445
S 0.047 0.127 0.457
S 0.210 0.120 0.811
S 0.210 0.619 0.842
S 0.232 0.366 0.093
S 0.233 0.868 0.090
S 0.267 0.868 0.590
S 0.268 0.366 0.593
S 0.290 0.120 0.311
S 0.290 0.619 0.342
S 0.453 0.127 0.957
S 0.472 0.617 0.945
S 0.474 0.629 0.683
S 0.490 0.117 0.696
S 0.510 0.883 0.196
S 0.526 0.371 0.183
S 0.528 0.383 0.445
S 0.547 0.873 0.457
S 0.710 0.381 0.842
S 0.710 0.880 0.811
S 0.732 0.634 0.093
S 0.733 0.132 0.090
S 0.767 0.132 0.590
S 0.768 0.634 0.593
S 0.790 0.381 0.342
S 0.790 0.880 0.311
S 0.953 0.873 0.957
S 0.972 0.383 0.945
S 0.974 0.371 0.683
S 0.990 0.883 0.696

Entry 9:
First-principles (GGA-PBE) data for a relaxed Pr2MgS4 crystal, as listed in the Materials Project database.

Space-group type: I-42d (122)
Distance to the lowest polymorph of the same formula, meV/atom: 32

Cell: 7.414 7.414 7.414 Å, 110.98 110.98 106.48°
Positions (direct):
Pr 0.007 0.625 0.882
Pr 0.375 0.257 0.382
Pr 0.743 0.125 0.118
Pr 0.875 0.993 0.618
Mg 0.250 0.750 0.500
Mg 0.500 0.500 0.000
S 0.006 0.876 0.268
S 0.124 0.392 0.130
S 0.142 0.374 0.630
S 0.262 0.994 0.870
S 0.488 0.858 0.232
S 0.608 0.738 0.732
S 0.626 0.256 0.768
S 0.744 0.512 0.370

Entry 10:
First-principles (GGA-PBE) data for a relaxed Pr2MgS4 crystal, as listed in the Materials Project database.

Space-group type: Pnma (62)
Distance to the lowest polymorph of the same formula, meV/atom: 1

Cell: 14.126 8.297 6.677 Å, 90.00 90.00 90.00°
Positions (direct):
Pr 0.000 0.000 0.000
Pr 0.000 0.500 0.000
Pr 0.230 0.250 0.498
Pr 0.270 0.750 0.998
Pr 0.500 0.000 0.500
Pr 0.500 0.500 0.500
Pr 0.730 0.250 0.002
Pr 0.770 0.750 0.502
Mg 0.093 0.750 0.423
Mg 0.407 0.250 0.923
Mg 0.593 0.750 0.077
Mg 0.907 0.250 0.577
S 0.066 0.250 0.741
S 0.093 0.750 0.785
S 0.167 0.519 0.251
S 0.167 0.981 0.251
S 0.333 0.019 0.751
S 0.333 0.481 0.751
S 0.407 0.250 0.285
S 0.434 0.750 0.241
S 0.566 0.250 0.759
S 0.593 0.750 0.715
S 0.667 0.519 0.249
S 0.667 0.981 0.249
S 0.833 0.019 0.749
S 0.833 0.481 0.749
S 0.907 0.250 0.215
S 0.934 0.750 0.259

Entry 11:
First-principles (GGA-PBE) data for a relaxed Pr2MgS4 crystal, as listed in the Materials Project database.

Space-group type: Pnma (62)
Distance to the lowest polymorph of the same formula, meV/atom: 65

Cell: 13.042 3.994 14.180 Å, 90.00 90.00 90.00°
Positions (direct):
Pr 0.123 0.250 0.074
Pr 0.130 0.250 0.709
Pr 0.370 0.750 0.209
Pr 0.377 0.750 0.574
Pr 0.623 0.250 0.426
Pr 0.630 0.250 0.791
Pr 0.870 0.750 0.291
Pr 0.877 0.750 0.926
Mg 0.105 0.750 0.465
Mg 0.395 0.250 0.965
Mg 0.605 0.750 0.035
Mg 0.895 0.250 0.535
S 0.000 0.250 0.387
S 0.000 0.750 0.613
S 0.024 0.250 0.887
S 0.228 0.250 0.517
S 0.232 0.250 0.244
S 0.268 0.750 0.744
S 0.272 0.750 0.017
S 0.476 0.750 0.387
S 0.500 0.250 0.113
S 0.500 0.750 0.887
S 0.524 0.250 0.613
S 0.728 0.250 0.983
S 0.732 0.250 0.256
S 0.768 0.750 0.756
S 0.772 0.750 0.483
S 0.976 0.750 0.113

Entry 12:
First-principles (GGA-PBE) data for a relaxed Pr2MgS4 crystal, as listed in the Materials Project database.

Space-group type: Pnma (62)
Distance to the lowest polymorph of the same formula, meV/atom: 140

Cell: 8.320 7.136 11.859 Å, 90.00 90.00 90.00°
Positions (direct):
Pr 0.030 0.250 0.184
Pr 0.092 0.750 0.460
Pr 0.408 0.250 0.960
Pr 0.470 0.750 0.684
Pr 0.530 0.250 0.316
Pr 0.592 0.750 0.040
Pr 0.908 0.250 0.540
Pr 0.970 0.750 0.816
Mg 0.196 0.750 0.081
Mg 0.304 0.250 0.581
Mg 0.696 0.750 0.419
Mg 0.804 0.250 0.919
S 0.082 0.250 0.941
S 0.146 0.508 0.652
S 0.146 0.992 0.652
S 0.202 0.250 0.391
S 0.298 0.750 0.891
S 0.354 0.008 0.152
S 0.354 0.492 0.152
S 0.418 0.750 0.441
S 0.582 0.250 0.559
S 0.646 0.508 0.848
S 0.646 0.992 0.848
S 0.702 0.250 0.109
S 0.798 0.750 0.609
S 0.854 0.008 0.348
S 0.854 0.492 0.348
S 0.918 0.750 0.059

Entry 13:
First-principles (GGA-PBE) data for a relaxed PrMgS3 crystal, as listed in the Materials Project database.

Distance to the lowest polymorph of the same formula, meV/atom: 0

Cell: 7.003 7.003 17.281 Å, 90.00 90.00 120.00°
Positions (direct):
Mg 0.000 0.000 0.154
S 0.382 0.015 0.580
S 0.033 0.715 0.753
Pr 0.667 0.333 0.973
S 0.652 0.700 0.913
S 0.633 0.618 0.580
S 0.300 0.952 0.913
S 0.318 0.033 0.247
S 0.985 0.367 0.580
Pr 0.667 0.333 0.693
Pr 0.000 0.000 0.640
Pr 0.333 0.667 0.027
Mg 0.333 0.667 0.820
Pr 0.000 0.000 0.360
S 0.967 0.285 0.247
Mg 0.000 0.000 0.846
Mg 0.667 0.333 0.487
S 0.682 0.967 0.753
S 0.048 0.348 0.913
S 0.285 0.318 0.753
S 0.952 0.652 0.087
Pr 0.333 0.667 0.307
S 0.348 0.300 0.087
Mg 0.667 0.333 0.180
S 0.700 0.048 0.087
S 0.618 0.985 0.420
S 0.367 0.382 0.420
S 0.715 0.682 0.247
Mg 0.333 0.667 0.513
S 0.015 0.633 0.420

Values of DFT formation energy, in order: -0.0477; -0.0586; -0.3726; -0.1668; -1.9385; -1.4717; -1.5236; -2.1074; -2.0751; -2.1068; -2.0429; -1.9670; -1.5834, all in eV/atom.